VASP calculation (PBE) on a relaxed structure of Zn2Te15H24N8.

a b c (Å): 9.840 13.119 13.528
angles (deg): 90.00 96.58 90.00
Positions (direct):
Zn (0.247, 0.012, 0.268)
Zn (0.247, 0.488, 0.768)
Zn (0.753, 0.512, 0.232)
Zn (0.753, 0.988, 0.732)
Te (0.000, 0.000, 0.000)
Te (0.000, 0.500, 0.500)
Te (0.102, 0.724, 0.509)
Te (0.102, 0.776, 0.009)
Te (0.147, 0.505, 0.075)
Te (0.147, 0.995, 0.575)
Te (0.242, 0.101, 0.877)
Te (0.242, 0.399, 0.377)
Te (0.249, 0.196, 0.567)
Te (0.249, 0.304, 0.067)
Te (0.276, 0.574, 0.263)
Te (0.276, 0.926, 0.763)
Te (0.388, 0.731, 0.505)
Te (0.388, 0.769, 0.005)
Te (0.458, 0.215, 0.801)
Te (0.458, 0.285, 0.301)
Te (0.542, 0.715, 0.699)
Te (0.542, 0.785, 0.199)
Te (0.612, 0.231, 0.995)
Te (0.612, 0.269, 0.495)
Te (0.724, 0.074, 0.237)
Te (0.724, 0.426, 0.737)
Te (0.751, 0.696, 0.933)
Te (0.751, 0.804, 0.433)
Te (0.758, 0.601, 0.623)
Te (0.758, 0.899, 0.123)
Te (0.853, 0.005, 0.425)
Te (0.853, 0.495, 0.925)
Te (0.898, 0.224, 0.991)
Te (0.898, 0.276, 0.491)
H (0.019, 0.115, 0.243)
H (0.019, 0.385, 0.743)
H (0.037, 0.600, 0.789)
H (0.037, 0.900, 0.289)
H (0.115, 0.161, 0.342)
H (0.115, 0.339, 0.842)
H (0.123, 0.655, 0.704)
H (0.123, 0.845, 0.204)
H (0.149, 0.192, 0.228)
H (0.149, 0.308, 0.728)
H (0.172, 0.669, 0.825)
H (0.172, 0.831, 0.325)
H (0.273, 0.036, 0.082)
H (0.273, 0.464, 0.582)
H (0.389, 0.555, 0.930)
H (0.389, 0.945, 0.430)
H (0.400, 0.071, 0.427)
H (0.400, 0.429, 0.927)
H (0.400, 0.538, 0.632)
H (0.400, 0.962, 0.132)
H (0.409, 0.087, 0.149)
H (0.409, 0.413, 0.649)
H (0.493, 0.000, 0.358)
H (0.493, 0.500, 0.858)
H (0.507, 0.000, 0.642)
H (0.507, 0.500, 0.142)
H (0.591, 0.587, 0.351)
H (0.591, 0.913, 0.851)
H (0.600, 0.038, 0.868)
H (0.600, 0.462, 0.368)
H (0.600, 0.571, 0.073)
H (0.600, 0.929, 0.573)
H (0.611, 0.055, 0.570)
H (0.611, 0.445, 0.070)
H (0.727, 0.536, 0.418)
H (0.727, 0.964, 0.918)
H (0.828, 0.169, 0.675)
H (0.828, 0.331, 0.175)
H (0.851, 0.692, 0.272)
H (0.851, 0.808, 0.772)
H (0.877, 0.155, 0.796)
H (0.877, 0.345, 0.296)
H (0.885, 0.661, 0.158)
H (0.885, 0.839, 0.658)
H (0.963, 0.100, 0.711)
H (0.963, 0.400, 0.211)
H (0.981, 0.615, 0.257)
H (0.981, 0.885, 0.757)
N (0.118, 0.133, 0.271)
N (0.118, 0.367, 0.771)
N (0.134, 0.618, 0.772)
N (0.134, 0.882, 0.272)
N (0.343, 0.026, 0.144)
N (0.343, 0.474, 0.644)
N (0.399, 0.006, 0.384)
N (0.399, 0.494, 0.884)
N (0.601, 0.506, 0.116)
N (0.601, 0.994, 0.616)
N (0.657, 0.526, 0.356)
N (0.657, 0.974, 0.856)
N (0.866, 0.118, 0.728)
N (0.866, 0.382, 0.228)
N (0.882, 0.633, 0.229)
N (0.882, 0.867, 0.729)

Values from the calculation:
The energy of formation from the pure elements is -0.320 eV/atom. As for the total energy: -421.14 eV/cell. For the calculated density, the calculation gives 4.2 g/cm3. The space group is P2_1/c (14).